[1]
First-principles (PBE) data for an optimized crystal structure of Ba2Sb3O8, as listed in Materials Project.

Unit cell a=4.1303 b=4.1303 c=11.7261 alpha=90.00 beta=90.00 gamma=90.00
Closest atoms and distances in Å follow each position.
Space group P4/mmm (No. 123)
Inequivalent atoms, fractional coordinates:
Ba: 0.0000 0.0000 0.1874 x2  12 O 2.77-3.02
Sb: 0.5000 0.5000 0.0000 x1  6 O 2.02-2.07
Sb: 0.5000 0.5000 0.3711 x2  5 O 2.09-2.33
O: 0.0000 0.5000 0.0000 x2  2 Sb 2.07
O: 0.0000 0.5000 0.3452 x4  2 Sb 2.09
O: 0.5000 0.5000 0.1722 x2  1 Sb 2.02

Results
Magnetic moment in μB/atom: 0.000
Uncorrected energy in eV per atom: -6.120
ΔE_f in meV/atom: -2249

---

[2]
First-principles (PBE) data for an optimized crystal structure of UP3O11, as listed in Materials Project.

Unit cell a=10.1815 b=8.7685 c=21.0784 alpha=90.00 beta=93.76 gamma=90.00
Closest atoms and distances in Å follow each position.
Space group P2_1/c (No. 14)
Inequivalent atoms, fractional coordinates:
U: 0.2004 0.1212 0.0974 x4  2 O 1.79-1.80
U: 0.2881 0.6191 0.8562 x4  2 O 1.79-1.80
P: 0.1218 0.7204 0.6909 x4  4 O 1.49-1.61
P: 0.1468 0.2117 0.2671 x4  4 O 1.49-1.62
P: 0.1991 0.5539 0.0971 x4  4 O 1.51-1.61
P: 0.3003 0.0493 0.8336 x4  4 O 1.50-1.61
P: 0.3507 0.7243 0.5222 x4  4 O 1.50-1.62
P: 0.3621 0.2489 0.4474 x4  4 O 1.50-1.61
O: 0.0142 0.1886 0.3031 x4  2 P 1.60-1.61
O: 0.0469 0.1532 0.0532 x4  1 U 1.79
O: 0.0685 0.5781 0.0607 x4  1 P 1.51
O: 0.1003 0.5951 0.6426 x4  1 P 1.50
O: 0.1174 0.2018 0.1968 x4  1 P 1.49
O: 0.1274 0.5964 0.8855 x4  1 U 1.80
O: 0.1810 0.6793 0.7553 x4  1 P 1.49
O: 0.1850 0.1130 0.7849 x4  2 P 1.61-1.62
O: 0.2111 0.6465 0.1634 x4  2 P 1.61
O: 0.2323 0.1101 0.6122 x4  1 P 1.51
O: 0.2495 0.1090 0.2986 x4  1 P 1.50
O: 0.2578 0.5983 0.5364 x4  1 P 1.50
O: 0.2647 0.6135 0.3475 x4  1 P 1.51
O: 0.2794 0.1457 0.8969 x4  2 P 1.61
O: 0.3115 0.2174 0.0111 x4  1 P 1.50
O: 0.3183 0.6220 0.0606 x4  2 P 1.59-1.62
O: 0.3532 0.0832 0.1422 x4  1 U 1.80
O: 0.3614 0.0870 0.4247 x4  1 P 1.50
O: 0.3650 0.7306 0.9544 x4  1 P 1.50
O: 0.4330 0.0736 0.8079 x4  1 P 1.50
O: 0.4494 0.6362 0.8277 x4  1 U 1.79
O: 0.4923 0.6799 0.5553 x4  2 P 1.61

Results
Magnetic moment in μB/atom: 0.000
Uncorrected energy in eV per atom: -7.676
ΔE_f in meV/atom: -2716

---

[3]
First-principles (PBE) data for an optimized crystal structure of RbBr, as listed in Materials Project.

Unit cell a=4.2018 b=4.2018 c=4.2018 alpha=90.00 beta=90.00 gamma=90.00
Closest atoms and distances in Å follow each position.
Space group Pm-3m (No. 221)
Inequivalent atoms, fractional coordinates:
Rb: 0.0000 0.0000 0.0000 x1  8 Br 3.64
Br: 0.5000 0.5000 0.5000 x1  8 Rb 3.64

Results
Uncorrected energy in eV per atom: -3.015
ΔE_f in meV/atom: -1973

---

[4]
First-principles (PBE) data for an optimized crystal structure of RbTh2Se6, as listed in Materials Project.

Unit cell a=4.2645 b=5.5881 c=23.0823 alpha=90.00 beta=90.00 gamma=90.00
Closest atoms and distances in Å follow each position.
Space group Immm (No. 71)
Inequivalent atoms, fractional coordinates:
Rb: 0.0000 0.0000 0.0000 x2  8 Se 3.59
Th: 0.0000 0.5000 0.1803 x4  8 Se 2.99-3.02
Se: 0.0000 0.0000 0.2290 x4  4 Th 2.99-3.01
Se: 0.0000 0.2460 0.3908 x8  2 Se 2.75-2.84, 2 Th 3.02

Results
Uncorrected energy in eV per atom: -5.569
ΔE_f in meV/atom: -1796

---

[5]
First-principles (PBE) data for an optimized crystal structure of Na3CaLaSiS2O12, as listed in Materials Project.

Unit cell a=16.6361 b=9.6088 c=24.0642 alpha=90.00 beta=90.68 gamma=90.00
Closest atoms and distances in Å follow each position.
Space group Cc (No. 9)
Inequivalent atoms, fractional coordinates:
Na: 0.0000 0.1198 0.0000 x4  1 O 2.26
Na: 0.0145 0.4696 0.7606 x4  2 O 2.35-2.59
Na: 0.0367 0.1779 0.6775 x4  2 O 2.32-2.41
Na: 0.1576 0.3502 0.8270 x4  2 O 2.39-2.65
Na: 0.1686 0.0161 0.5934 x4  2 O 2.35-2.60
Na: 0.1795 0.3119 0.5180 x4  5 O 2.56-2.82
Na: 0.3237 0.1487 0.6679 x4  2 O 2.38-2.59
Na: 0.3581 0.4923 0.9267 x4  1 O 2.31
Na: 0.4903 0.3300 0.8528 x4  5 O 2.46-2.72
Ca: 0.1685 0.0024 0.7408 x4  5 O 2.20-2.44
Ca: 0.3356 0.4895 0.0730 x4  6 O 2.29-2.46
Ca: 0.4972 0.0011 0.9066 x4  6 O 2.28-2.49
La: 0.0136 0.4854 0.6028 x4  3 O 2.19-2.38
La: 0.1678 0.9997 0.4347 x4  5 O 2.20-2.46
La: 0.3348 0.4879 0.2685 x4  6 O 2.26-2.52
Si: 0.0041 0.1880 0.5011 x4  4 O 1.63-1.71
Si: 0.0174 0.1571 0.8364 x4  4 O 1.64-1.68
Si: 0.1872 0.3382 0.6705 x4  4 O 1.64-1.68
S: 0.1559 0.3541 0.0008 x4  4 O 1.48-1.50
S: 0.1664 0.3064 0.3383 x4  4 O 1.47-1.50
S: 0.3246 0.1508 0.8346 x4  4 O 1.48-1.51
S: 0.3357 0.1891 0.1690 x4  4 O 1.46-1.51
S: 0.3546 0.1597 0.5069 x4  4 O 1.47-1.50
S: 0.4872 0.3507 0.6701 x4  4 O 1.48-1.50
O: 0.0011 0.2816 0.4446 x4  1 Si 1.63
O: 0.0144 0.2875 0.5575 x4  1 Si 1.67
O: 0.0160 0.3279 0.8400 x4  1 Si 1.64
O: 0.0608 0.0920 0.8943 x4  1 Si 1.68
O: 0.0688 0.0865 0.1745 x4  1 S 1.49
O: 0.0715 0.1175 0.7818 x4  1 Si 1.65
O: 0.0895 0.3870 0.3390 x4  1 S 1.50
O: 0.0906 0.0930 0.5042 x4  1 Si 1.71
O: 0.0926 0.3983 0.6727 x4  1 Si 1.68
O: 0.1043 0.3777 0.0504 x4  1 S 1.50
O: 0.1143 0.4073 0.9505 x4  1 S 1.48
O: 0.1650 0.2106 0.2906 x4  1 S 1.47
O: 0.1678 0.2002 0.9982 x4  1 S 1.49
O: 0.1773 0.2265 0.3911 x4  1 S 1.49
O: 0.1809 0.1649 0.6705 x4  1 Si 1.67
O: 0.2327 0.3921 0.7282 x4  1 Si 1.66
O: 0.2343 0.4085 0.3356 x4  1 S 1.50
O: 0.2337 0.4282 0.0071 x4  1 S 1.48
O: 0.2373 0.3825 0.6151 x4  1 Si 1.64
O: 0.2632 0.0994 0.1740 x4  1 S 1.49
O: 0.2711 0.1015 0.5020 x4  1 S 1.50
O: 0.2756 0.1144 0.8838 x4  1 S 1.49
O: 0.2855 0.0966 0.7834 x4  1 S 1.48
O: 0.3292 0.2789 0.1202 x4  1 S 1.46
O: 0.3290 0.3079 0.8337 x4  1 S 1.51
O: 0.3480 0.3153 0.5078 x4  1 S 1.50
O: 0.3497 0.2738 0.2200 x4  1 S 1.49
O: 0.3905 0.1079 0.5602 x4  1 S 1.49
O: 0.4051 0.1208 0.4598 x4  1 S 1.47
O: 0.4077 0.0934 0.1657 x4  1 S 1.51
O: 0.4076 0.0961 0.8390 x4  1 S 1.48
O: 0.4282 0.4207 0.0049 x4  1 Si 1.64
O: 0.4304 0.4302 0.3352 x4  1 Si 1.67
O: 0.4397 0.3821 0.7210 x4  1 S 1.50
O: 0.4463 0.4118 0.6207 x4  1 S 1.48
O: 0.4909 0.1960 0.6659 x4  1 S 1.49

Results
Magnetic moment in μB/atom: 0.000
Uncorrected energy in eV per atom: -6.438
ΔE_f in meV/atom: -2651

---

[6]
First-principles (PBE) data for an optimized crystal structure of CeSnAu, as listed in Materials Project.

Unit cell a=4.7933 b=4.7933 c=7.6407 alpha=90.00 beta=90.00 gamma=120.00
Closest atoms and distances in Å follow each position.
Space group P6_3/mmc (No. 194)
Inequivalent atoms, fractional coordinates:
Ce: 0.0000 0.0000 0.0000 x2  6 Sn 3.36, 6 Au 3.36
Sn: 0.3333 0.6667 0.2500 x2  3 Au 2.77
Au: 0.3333 0.6667 0.7500 x2  3 Sn 2.77

Results
Magnetic moment in μB/atom: 0.334
Uncorrected energy in eV per atom: -5.097
ΔE_f in meV/atom: -692

---

[7]
First-principles (PBE) data for an optimized crystal structure of V2Ga5, as listed in Materials Project.

Unit cell a=8.9926 b=8.9926 c=2.6820 alpha=90.00 beta=90.00 gamma=90.00
Closest atoms and distances in Å follow each position.
Space group P4/mbm (No. 127)
Inequivalent atoms, fractional coordinates:
V: 0.1800 0.3200 0.0000 x4  10 Ga 2.65-2.74, 2 V 2.68
Ga: 0.0000 0.5000 0.5000 x2  4 V 2.65, 6 Ga 2.68-2.70
Ga: 0.0606 0.7938 0.5000 x8  6 Ga 2.68-2.96, 4 V 2.70-2.74

Results
Uncorrected energy in eV per atom: -4.990
ΔE_f in meV/atom: -231

---

[8]
First-principles (PBE) data for an optimized crystal structure of Nb6CdBr16O18, as listed in Materials Project.

Unit cell a=21.5279 b=21.5279 c=21.5279 alpha=90.00 beta=90.00 gamma=90.00
Closest atoms and distances in Å follow each position.
Space group Fd-3m (No. 227, origin choice 2)
Inequivalent atoms, fractional coordinates:
Nb: 0.0230 0.3750 0.3750 x48  1 O 1.71
Cd: 0.1250 0.1250 0.6250 x8  4 Br 2.65
Br: 0.0045 0.0045 0.1272 x96  2 Nb 2.66
Br: 0.0540 0.0540 0.6960 x32  1 Cd 2.65
O: 0.0168 0.0168 0.4418 x96  2 O 1.45
O: 0.1026 0.3750 0.3750 x48  1 Nb 1.71

Results
Magnetic moment in μB/atom: 0.141
Uncorrected energy in eV per atom: -4.905
ΔE_f in meV/atom: -593